{"formula": "LiVCrP2H2O10", "functional": "PBE with a Hubbard U", "state": "optimized geometry", "cell": [[5.1990, 0.0000, 0.0000], [-1.9669, 7.0970, 0.0000], [-1.7248, -2.8753, 9.6302]], "species": ["Li", "Li", "V", "V", "Cr", "Cr", "P", "P", "P", "P", "H", "H", "H", "H", "O", "O", "O", "O", "O", "O", "O", "O", "O", "O", "O", "O", "O", "O", "O", "O", "O", "O", "O", "O"], "frac_coords": [[0.3519, 0.1289, 0.2793], [0.6481, 0.8711, 0.7207], [0.7446, 0.7432, 0.2488], [0.2554, 0.2568, 0.7512], [0.0000, 0.0000, 0.0000], [0.5000, 0.5000, 0.5000], [0.6138, 0.2860, 0.0630], [0.8889, 0.2075, 0.4374], [0.1111, 0.7925, 0.5626], [0.3862, 0.7140, 0.9370], [0.1488, 0.7950, 0.1423], [0.3300, 0.6827, 0.3455], [0.6700, 0.3173, 0.6545], [0.8512, 0.2050, 0.8577], [0.7907, 0.1574, 0.0880], [0.3448, 0.2192, 0.1084], [0.4395, 0.7160, 0.0934], [0.7774, 0.5024, 0.1530], [0.7095, 0.9989, 0.3421], [0.0348, 0.8813, 0.1625], [0.1638, 0.2693, 0.3969], [0.4810, 0.6252, 0.3438], [0.7120, 0.3395, 0.4117], [0.0631, 0.7894, 0.4061], [0.9369, 0.2106, 0.5939], [0.2880, 0.6605, 0.5883], [0.5190, 0.3748, 0.6562], [0.8362, 0.7307, 0.6031], [0.9652, 0.1187, 0.8375], [0.2905, 0.0011, 0.6579], [0.2226, 0.4976, 0.8470], [0.5605, 0.2840, 0.9066], [0.6552, 0.7808, 0.8916], [0.2093, 0.8426, 0.9120]], "e_above_lowest_polymorph_ev_per_fu": 0.06, "spacegroup": "P-1 (2)", "e_form_kj_per_mol_atoms": -231.8, "energy_mp2020_ev_per_atom": -7.563, "total_energy_ha_per_atom": -0.25509}